[1]
Below is a geometry-optimized VGaPb2O6 structure, with properties calculated at the r²SCAN level.

Cell and atoms, written as POSCAR:
```
VGaPb2O6
1.0
0.000 3.882 3.882
3.882 0.000 3.882
3.882 3.882 0.000
O Ga V Pb
6 1 1 2
direct
0.256 0.256 0.744 O
0.744 0.744 0.256 O
0.744 0.256 0.256 O
0.744 0.256 0.744 O
0.256 0.744 0.256 O
0.256 0.744 0.744 O
0.000 0.000 0.000 Ga
0.500 0.500 0.500 V
0.250 0.250 0.250 Pb
0.750 0.750 0.750 Pb
```

* size of the total moment: 0.0 μB per cell
* calculated total energy: -192.6 eV per cell
* volume: 11.7 A^3/atom
* ΔH_f (0 K): -1.86 eV/atom



[2]
Below is a geometry-optimized Nd12InPt7 structure, with properties calculated at the r²SCAN level.

Cell and atoms, written as POSCAR:
```
Nd12InPt7
1.0
-6.041 6.041 7.269
6.041 -6.041 7.269
6.041 6.041 -7.269
Pt Nd In
14 24 2
direct
0.374 0.874 0.248 Pt
0.874 0.626 0.500 Pt
0.020 0.520 0.151 Pt
0.869 0.020 0.500 Pt
0.631 0.131 0.151 Pt
0.250 0.250 0.000 Pt
0.480 0.631 0.500 Pt
0.126 0.374 0.500 Pt
0.369 0.869 0.849 Pt
0.750 0.750 0.000 Pt
0.980 0.480 0.849 Pt
0.131 0.980 0.500 Pt
0.626 0.126 0.752 Pt
0.520 0.369 0.500 Pt
0.935 0.216 0.865 Nd
0.284 0.565 0.135 Nd
0.571 0.852 0.135 Nd
0.177 0.676 0.853 Nd
0.648 0.929 0.865 Nd
0.716 0.435 0.864 Nd
0.635 0.135 0.500 Nd
0.135 0.635 0.500 Nd
0.429 0.148 0.865 Nd
0.824 0.324 0.147 Nd
0.148 0.284 0.719 Nd
0.784 0.648 0.719 Nd
0.852 0.716 0.281 Nd
0.065 0.784 0.135 Nd
0.865 0.365 0.500 Nd
0.565 0.429 0.281 Nd
0.929 0.065 0.281 Nd
0.216 0.352 0.281 Nd
0.352 0.071 0.135 Nd
0.365 0.865 0.500 Nd
0.676 0.823 0.500 Nd
0.323 0.177 0.500 Nd
0.435 0.571 0.719 Nd
0.071 0.935 0.719 Nd
0.000 0.000 0.000 In
0.500 0.500 0.000 In
```

* size of the total moment: 0.0 μB per cell
* calculated total energy: -1511.9 eV per cell
* volume: 26.5 A^3/atom
* ΔH_f (0 K): -1.00 eV/atom